[1]
First-principles (r²SCAN) data for DyCuSe2 after structural relaxation, as listed in the Materials Project.

Cell and atoms, written as extended XYZ:
```
4
Lattice="4.075 0.000 0.000 -2.037 3.529 0.000 0.000 0.000 6.388" Properties=species:S:1:pos:R:3 pbc="T T T"
Dy 0.000 0.000 0.000
Cu 2.037 1.176 3.937
Se 0.000 2.352 4.646
Se 2.037 1.176 1.509
```

Summary:
- DFT formation energy: -137 kJ per mole of atoms
- Symmetry: No. 156

---

[2]
First-principles (r²SCAN) data for Dy3Cu4Si4 after structural relaxation, as listed in the Materials Project.

Cell and atoms, written as extended XYZ:
```
11
Lattice="7.549 -2.061 0.000 7.549 2.061 0.000 -2.800 0.000 5.871" Properties=species:S:1:pos:R:3 pbc="T T T"
Dy 0.000 0.000 0.000
Dy 0.211 0.000 3.698
Dy 12.086 0.000 2.173
Cu 4.948 0.000 0.127
Cu 3.214 0.000 3.773
Cu 9.083 0.000 2.098
Cu 7.350 0.000 5.744
Si 2.652 0.000 1.271
Si 6.660 0.000 1.853
Si 5.637 0.000 4.018
Si 9.645 0.000 4.600
```

Summary:
- DFT formation energy: -66 kJ per mole of atoms
- Symmetry: No. 12

---

[3]
First-principles (r²SCAN) data for DyCuSi after structural relaxation, as listed in the Materials Project.

Cell and atoms, written as extended XYZ:
```
6
Lattice="4.107 0.000 0.000 -2.053 3.557 0.000 0.000 0.000 7.544" Properties=species:S:1:pos:R:3 pbc="T T T"
Dy 0.000 0.000 0.000
Dy 0.000 0.000 3.772
Cu 0.000 2.371 1.886
Cu 2.053 1.186 5.658
Si 0.000 2.371 5.658
Si 2.053 1.186 1.886
```

Summary:
- DFT formation energy: -71 kJ per mole of atoms
- Symmetry: No. 194

---

[4]
First-principles (r²SCAN) data for DyCuTe2 after structural relaxation, as listed in the Materials Project.

Cell and atoms, written as extended XYZ:
```
8
Lattice="6.899 0.000 0.000 0.000 4.331 0.000 -0.124 0.000 7.476" Properties=species:S:1:pos:R:3 pbc="T T T"
Dy 0.000 0.000 0.000
Dy -0.062 2.165 3.738
Cu 2.400 0.000 2.541
Cu 4.375 0.000 4.935
Te 1.714 0.000 5.043
Te 1.789 2.165 1.242
Te 4.987 2.165 6.233
Te 5.062 0.000 2.433
```

Summary:
- DFT formation energy: -102 kJ per mole of atoms
- Symmetry: No. 10

---

[5]
First-principles (r²SCAN) data for DyCuTe2 after structural relaxation, as listed in the Materials Project.

Cell and atoms, written as extended XYZ:
```
4
Lattice="4.340 0.000 0.000 -2.170 3.758 0.000 0.000 0.000 6.885" Properties=species:S:1:pos:R:3 pbc="T T T"
Dy 0.000 0.000 0.000
Cu 2.170 1.253 4.309
Te 0.000 2.505 4.984
Te 2.170 1.253 1.687
```

Summary:
- DFT formation energy: -101 kJ per mole of atoms
- Symmetry: No. 156

---

[6]
First-principles (r²SCAN) data for DyTmCu2 after structural relaxation, as listed in the Materials Project.

Cell and atoms, written as extended XYZ:
```
4
Lattice="0.000 3.413 3.413 3.413 0.000 3.413 3.413 3.413 0.000" Properties=species:S:1:pos:R:3 pbc="T T T"
Dy 0.000 0.000 0.000
Tm 3.413 3.413 3.413
Cu 1.707 1.707 1.707
Cu 5.120 5.120 5.120
```

Summary:
- DFT formation energy: -27 kJ per mole of atoms
- Symmetry: No. 225

---

Per-record spin magnetization, Bohr magnetons per cell: 0.00; 0.00; 0.00; 0.00; 0.00; 0.00